# Rb2SnO3 (PBE-GGA, optimized geometry)
# - energy (eV per atom) = -5.00
# - E_form (eV per atom) = -1.8772
# - total energy after the MP2020 corrections (eV/atom) = -5.35
# - crystal system = orthorhombic
data_Rb2SnO3
_space_group_name_H-M_alt 'C m c e'
_space_group_IT_number 64
_space_group_name_Hall '-C 2ac 2'
_cell_length_a 6.1663
_cell_length_b 12.7176
_cell_length_c 13.6647
_cell_angle_alpha 90.00
_cell_angle_beta 90.00
_cell_angle_gamma 90.00
loop_
_atom_site_label
_atom_site_type_symbol
_atom_site_fract_x
_atom_site_fract_y
_atom_site_fract_z
Rb1 Rb 0.0000 0.0520 0.1360
Rb2 Rb 0.0000 0.1267 0.5762
Sn1 Sn 0.0000 0.2412 0.3368
O1 O 0.0000 0.0892 0.3591
O2 O 0.0000 0.1590 0.9452
O3 O 0.2500 0.2147 0.7500



# BaMg6Mo (PBE-GGA, optimized geometry)
# - energy (eV per atom) = -2.53
# - ΔE to the lowest computed polymorph (eV/atom) = 0.0000
# - E_form (eV per atom) = 0.2613
# - crystal system = tetragonal
data_BaMg6Mo
_space_group_name_H-M_alt 'P 4/m m m'
_space_group_IT_number 123
_space_group_name_Hall '-P 4 2'
_cell_length_a 6.7781
_cell_length_b 6.7781
_cell_length_c 4.2952
_cell_angle_alpha 90.00
_cell_angle_beta 90.00
_cell_angle_gamma 90.00
loop_
_atom_site_label
_atom_site_type_symbol
_atom_site_fract_x
_atom_site_fract_y
_atom_site_fract_z
Ba1 Ba 0.0000 0.0000 0.0000
Mg1 Mg 0.0000 0.5000 0.0000
Mg2 Mg 0.2899 0.2899 0.5000
Mo1 Mo 0.5000 0.5000 0.0000



# Ni3Hg (PBE-GGA, optimized geometry)
# - energy (eV per atom) = -4.19
# - E_form (eV per atom) = 0.2212
# - crystal system = cubic
data_Ni3Hg
_space_group_name_H-M_alt 'P m -3 m'
_space_group_IT_number 221
_space_group_name_Hall '-P 4 2 3'
_cell_length_a 3.7449
_cell_length_b 3.7449
_cell_length_c 3.7449
_cell_angle_alpha 90.00
_cell_angle_beta 90.00
_cell_angle_gamma 90.00
loop_
_atom_site_label
_atom_site_type_symbol
_atom_site_fract_x
_atom_site_fract_y
_atom_site_fract_z
Ni1 Ni 0.0000 0.0000 0.5000
Hg1 Hg 0.5000 0.5000 0.5000



# Tb4CdCo (PBE-GGA, optimized geometry)
# - energy (eV per atom) = -4.67
# - E_form (eV per atom) = -0.2426
# - crystal system = cubic
data_Tb4CdCo
_space_group_name_H-M_alt 'F -4 3 m'
_space_group_IT_number 216
_space_group_name_Hall 'F -4 2 3'
_cell_length_a 13.4890
_cell_length_b 13.4890
_cell_length_c 13.4890
_cell_angle_alpha 90.00
_cell_angle_beta 90.00
_cell_angle_gamma 90.00
loop_
_atom_site_label
_atom_site_type_symbol
_atom_site_fract_x
_atom_site_fract_y
_atom_site_fract_z
Tb1 Tb 0.0000 0.0000 0.1883
Tb2 Tb 0.0615 0.2500 0.7500
Tb3 Tb 0.0965 0.0965 0.4035
Cd1 Cd 0.1697 0.1697 0.1697
Co1 Co 0.1090 0.1090 0.6090



# Er2Fe17C3 (PBE-GGA, optimized geometry)
# - energy (eV per atom) = -8.31
# - E_form (eV per atom) = -0.0870
# - crystal system = hexagonal
data_Er2Fe17C3
_space_group_name_H-M_alt 'P 63/m m c'
_space_group_IT_number 194
_space_group_name_Hall '-P 6c 2c'
_cell_length_a 8.6034
_cell_length_b 8.6034
_cell_length_c 8.3540
_cell_angle_alpha 90.00
_cell_angle_beta 90.00
_cell_angle_gamma 120.00
loop_
_atom_site_label
_atom_site_type_symbol
_atom_site_fract_x
_atom_site_fract_y
_atom_site_fract_z
Er1 Er 0.0000 0.0000 0.2500
Er2 Er 0.3333 0.6667 0.2500
Fe1 Fe 0.0000 0.5000 0.0000
Fe2 Fe 0.0524 0.3786 0.7500
Fe3 Fe 0.1682 0.3363 0.0201
Fe4 Fe 0.3333 0.6667 0.6070
C1 C 0.1655 0.3309 0.2500



# Zr2Ti3Pb5O15 (PBE-GGA, optimized geometry)
# - energy (eV per atom) = -7.22
# - ΔE to the lowest computed polymorph (eV/atom) = 0.4719
# - E_form (eV per atom) = -2.2920
# - total energy after the MP2020 corrections (eV/atom) = -7.63
# - crystal system = monoclinic
data_Zr2Ti3Pb5O15
_space_group_name_H-M_alt 'C 1 m 1'
_space_group_IT_number 8
_space_group_name_Hall 'C -2y'
_cell_length_a 10.0380
_cell_length_b 6.2299
_cell_length_c 25.6573
_cell_angle_alpha 90.00
_cell_angle_beta 100.44
_cell_angle_gamma 90.00
loop_
_atom_site_label
_atom_site_type_symbol
_atom_site_fract_x
_atom_site_fract_y
_atom_site_fract_z
Zr1 Zr 0.0000 0.0000 0.0000
Zr2 Zr 0.1024 0.5000 0.7937
Ti1 Ti 0.1977 0.0000 0.5935
Ti2 Ti 0.2932 0.5000 0.3967
Ti3 Ti 0.3947 0.0000 0.2009
Pb1 Pb 0.0074 0.5000 0.6343
Pb2 Pb 0.1049 0.0000 0.4394
Pb3 Pb 0.2050 0.5000 0.2428
Pb4 Pb 0.3032 0.0000 0.0481
Pb5 Pb 0.4054 0.5000 0.8412
O1 O 0.0335 0.2478 0.8221
O2 O 0.0824 0.5000 0.7180
O3 O 0.1410 0.2393 0.6195
O4 O 0.1828 0.0000 0.5237
O5 O 0.2358 0.2603 0.4221
O6 O 0.2836 0.5000 0.3270
O7 O 0.3357 0.2406 0.2253
O8 O 0.3871 0.0000 0.1315
O9 O 0.4295 0.2467 0.0272
O10 O 0.4844 0.5000 0.9245



Number 1: density 4.19 g cm⁻³. Number 2: density 3.19 g cm⁻³. Number 3: density 11.91 g cm⁻³. Number 4: density 8.74 g cm⁻³. Number 5: density 8.19 g cm⁻³. Number 6: density 3.37 g cm⁻³.